An optimized crystal structure of NdHO. Source: Materials Project, functional r2SCAN.

Energy of formation: -2370 meV/atom
Calculated total energy: -15.318 eV per atom
Symmetry: P4/nmm (129)

a = 7.8851 Å, b = 7.8851 Å, c = 5.5734 Å
α = 90.00°, β = 90.00°, γ = 90.00°
Fractional positions:
O (0.2353, 0.0000, 0.2562)
O (0.5000, 0.2647, 0.2562)
O (0.7353, 0.5000, 0.7438)
O (0.5000, 0.7353, 0.2562)
O (0.7647, 0.0000, 0.2562)
O (0.0000, 0.2353, 0.7438)
O (0.0000, 0.7647, 0.7438)
O (0.2647, 0.5000, 0.7438)
Nd (0.2500, 0.2500, 0.5000)
Nd (0.7500, 0.2500, 0.5000)
Nd (0.7500, 0.7500, 0.5000)
Nd (0.0000, 0.0000, 0.0000)
Nd (0.5000, 0.0000, 0.0537)
Nd (0.0000, 0.5000, 0.9463)
Nd (0.5000, 0.5000, 0.0000)
Nd (0.2500, 0.7500, 0.5000)
H (0.2296, 0.5000, 0.2474)
H (0.0000, 0.7296, 0.2474)
H (0.5000, 0.7704, 0.7526)
H (0.5000, 0.2296, 0.7526)
H (0.7704, 0.5000, 0.2474)
H (0.2704, 0.0000, 0.7526)
H (0.7296, 0.0000, 0.7526)
H (0.0000, 0.2704, 0.2474)